# P2O3F4

A relaxed structure of P2O3F4 (PBE, the Materials Project).

Lattice parameters (Å, degrees): 6.7601 6.7704 12.6959 90.00 90.00 90.00
Fractional coordinates of all 36 atoms:
P  0.1275  0.3106  0.9014
P  0.1275  0.6894  0.5986
P  0.3725  0.6894  0.4014
P  0.3725  0.3106  0.0986
P  0.8725  0.6894  0.0986
P  0.8725  0.3106  0.4014
P  0.6275  0.3106  0.5986
P  0.6275  0.6894  0.9014
O  0.0900  0.5215  0.8902
O  0.0900  0.4785  0.6098
O  0.4100  0.4785  0.3902
O  0.4100  0.5215  0.1098
O  0.9100  0.4785  0.1098
O  0.9100  0.5215  0.3902
O  0.5900  0.5215  0.6098
O  0.5900  0.4785  0.8902
O  0.2500  0.2308  0.0000
O  0.2500  0.7692  0.5000
O  0.7500  0.7692  0.0000
O  0.7500  0.2308  0.5000
F  0.9441  0.1738  0.9076
F  0.9441  0.8262  0.5924
F  0.5559  0.8262  0.4076
F  0.5559  0.1738  0.0924
F  0.0559  0.8262  0.0924
F  0.0559  0.1738  0.4076
F  0.4441  0.1738  0.5924
F  0.4441  0.8262  0.9076
F  0.2401  0.2092  0.8099
F  0.2401  0.7908  0.6901
F  0.2599  0.7908  0.3099
F  0.2599  0.2092  0.1901
F  0.7599  0.7908  0.1901
F  0.7599  0.2092  0.3099
F  0.7401  0.2092  0.6901
F  0.7401  0.7908  0.8099

Computed properties:
The value obtained for the formation energy is -2.74 eV/atom. Its crystal system is orthorhombic. As for the theoretical density: 2.125 g/cm3. Its space group is Pcca, No. 54. Its total energy after the MP2020 corrections is -0.473 Ry per atom.

---

# RbPO2F2

A relaxed structure of RbPO2F2 (PBE, the Materials Project).

Lattice parameters (Å, degrees): 6.5787 7.9240 8.3390 90.00 90.00 90.00
Fractional coordinates of all 24 atoms:
Rb  0.2500  0.3560  0.6421
Rb  0.7500  0.8560  0.8579
Rb  0.7500  0.6440  0.3579
Rb  0.2500  0.1440  0.1421
P  0.7500  0.3131  0.8969
P  0.2500  0.6869  0.1031
P  0.2500  0.8131  0.6031
P  0.7500  0.1869  0.3969
O  0.9486  0.2767  0.3936
O  0.4486  0.7767  0.1064
O  0.5514  0.2233  0.8936
O  0.9486  0.2233  0.8936
O  0.5514  0.2767  0.3936
O  0.4486  0.7233  0.6064
O  0.0514  0.7767  0.1064
O  0.0514  0.7233  0.6064
F  0.7500  0.4522  0.7574
F  0.7500  0.0563  0.5431
F  0.2500  0.9522  0.7426
F  0.2500  0.5478  0.2426
F  0.7500  0.0478  0.2574
F  0.2500  0.9437  0.4569
F  0.7500  0.4437  0.0431
F  0.2500  0.5563  0.9569

Computed properties:
The value obtained for the formation energy is -2.88 eV/atom. Its crystal system is orthorhombic. As for the theoretical density: 2.849 g/cm3. Its space group is Pnma, No. 62. Its total energy after the MP2020 corrections is -0.458 Ry per atom.

---

# SbPO2F6

A relaxed structure of SbPO2F6 (PBE, the Materials Project).

Lattice parameters (Å, degrees): 5.7003 7.5581 7.6163 88.35 76.16 83.43
Fractional coordinates of all 20 atoms:
Sb  0.5825  0.2306  0.7559
Sb  0.4175  0.7694  0.2441
P  0.2299  0.1921  0.1674
P  0.7701  0.8079  0.8326
O  0.5647  0.7364  0.9713
O  0.7827  0.0070  0.8251
O  0.4353  0.2636  0.0287
O  0.2173  0.9930  0.1749
F  0.3907  0.4393  0.7095
F  0.2420  0.2630  0.3516
F  0.0164  0.7220  0.8591
F  0.7364  0.1834  0.5100
F  0.2636  0.8166  0.4900
F  0.6093  0.5607  0.2905
F  0.8331  0.3580  0.7937
F  0.1669  0.6420  0.2063
F  0.3343  0.0820  0.7545
F  0.6657  0.9180  0.2455
F  0.7580  0.7370  0.6484
F  0.9836  0.2780  0.1409

Computed properties:
The value obtained for the formation energy is -2.68 eV/atom. Its crystal system is triclinic. The total magnetization comes out at 0.00 Bohr magnetons per cell. As for the theoretical density: 3.134 g/cm3. Its space group is P-1, No. 2. Its total energy after the MP2020 corrections is -0.424 Ry per atom.

---

# Sb2POF13

A relaxed structure of Sb2POF13 (PBE, the Materials Project).

Lattice parameters (Å, degrees): 15.0466 7.4699 10.5738 82.55 90.00 90.00
Fractional coordinates of all 68 atoms:
Sb  0.2566  0.1379  0.0399
Sb  0.7434  0.8621  0.9601
Sb  0.5626  0.2166  0.7893
Sb  0.9374  0.2166  0.2893
Sb  0.2434  0.1379  0.5399
Sb  0.7566  0.8621  0.4601
Sb  0.4374  0.7834  0.2107
Sb  0.0626  0.7834  0.7107
P  0.8705  0.2364  0.8375
P  0.6295  0.2364  0.3375
P  0.3705  0.7636  0.6625
P  0.1295  0.7636  0.1625
O  0.3205  0.9354  0.6410
O  0.6795  0.0646  0.3590
O  0.1795  0.9354  0.1410
O  0.8205  0.0646  0.8590
F  0.7251  0.0300  0.0763
F  0.9946  0.5814  0.7809
F  0.6346  0.3234  0.1997
F  0.6400  0.9866  0.8603
F  0.4163  0.8628  0.3723
F  0.3390  0.6194  0.5832
F  0.1346  0.6766  0.3003
F  0.0343  0.0527  0.3124
F  0.8261  0.3391  0.2746
F  0.7749  0.0300  0.5763
F  0.8371  0.6897  0.5390
F  0.1629  0.3103  0.4610
F  0.9657  0.9473  0.6876
F  0.9163  0.1372  0.1277
F  0.4657  0.0527  0.8124
F  0.0837  0.8628  0.8723
F  0.8390  0.3806  0.9168
F  0.5837  0.1372  0.6277
F  0.5054  0.5814  0.2809
F  0.7416  0.7428  0.3150
F  0.8600  0.9866  0.3603
F  0.1739  0.6609  0.7254
F  0.9692  0.2134  0.8664
F  0.3371  0.3103  0.9610
F  0.4692  0.7866  0.6335
F  0.6629  0.6897  0.0390
F  0.0054  0.4186  0.2191
F  0.2251  0.9700  0.4237
F  0.0529  0.7393  0.5393
F  0.8476  0.7623  0.0395
F  0.3600  0.0134  0.1397
F  0.5529  0.2607  0.9607
F  0.3476  0.2377  0.4605
F  0.0308  0.7866  0.1336
F  0.3654  0.6766  0.8003
F  0.1610  0.6194  0.0832
F  0.4471  0.7393  0.0393
F  0.6524  0.7623  0.5395
F  0.1400  0.0134  0.6397
F  0.2749  0.9700  0.9237
F  0.6739  0.3391  0.7746
F  0.2584  0.2572  0.6850
F  0.9471  0.2607  0.4607
F  0.8654  0.3234  0.6997
F  0.6610  0.3806  0.4168
F  0.5308  0.2134  0.3664
F  0.7584  0.7428  0.8150
F  0.3261  0.6609  0.2254
F  0.2416  0.2572  0.1850
F  0.4946  0.4186  0.7191
F  0.1524  0.2377  0.9605
F  0.5343  0.9473  0.1876

Computed properties:
The value obtained for the formation energy is -2.68 eV/atom. Its crystal system is monoclinic. The total magnetization comes out at 0.00 Bohr magnetons per cell. As for the theoretical density: 3.029 g/cm3. Its space group is P2_1/c, No. 14. Its total energy after the MP2020 corrections is -0.385 Ry per atom.

---

# SnPOF7

A relaxed structure of SnPOF7 (PBE, the Materials Project).

Lattice parameters (Å, degrees): 10.0574 11.2078 12.4867 90.00 90.00 90.00
Fractional coordinates of all 80 atoms:
Sn  0.6579  0.4403  0.0003
Sn  0.8421  0.9403  0.9997
Sn  0.1579  0.5597  0.4997
Sn  0.3421  0.0597  0.5003
Sn  0.3421  0.5597  0.9997
Sn  0.1579  0.0597  0.0003
Sn  0.8421  0.4403  0.5003
Sn  0.6579  0.9403  0.4997
P  0.5671  0.3014  0.2401
P  0.9329  0.8014  0.7599
P  0.0671  0.6986  0.2599
P  0.4329  0.1986  0.7401
P  0.4329  0.6986  0.7599
P  0.0671  0.1986  0.2401
P  0.9329  0.3014  0.7401
P  0.5671  0.8014  0.2599
O  0.5977  0.3975  0.1639
O  0.9023  0.8975  0.8361
O  0.0977  0.6025  0.3361
O  0.4023  0.1025  0.6639
O  0.4023  0.6025  0.8361
O  0.0977  0.1025  0.1639
O  0.9023  0.3975  0.6639
O  0.5977  0.8975  0.3361
F  0.4521  0.4043  0.9665
F  0.0479  0.9043  0.0335
F  0.9521  0.5957  0.5335
F  0.5479  0.0957  0.4665
F  0.5479  0.5957  0.0335
F  0.9521  0.0957  0.9665
F  0.0479  0.4043  0.4665
F  0.4521  0.9043  0.5335
F  0.6910  0.2708  0.9825
F  0.8090  0.7708  0.0175
F  0.1910  0.7292  0.5175
F  0.3090  0.2292  0.4825
F  0.3090  0.7292  0.0175
F  0.1910  0.2292  0.9825
F  0.8090  0.2708  0.4825
F  0.6910  0.7708  0.5175
F  0.8221  0.4971  0.0611
F  0.6779  0.9971  0.9389
F  0.3221  0.5029  0.4389
F  0.1779  0.0029  0.5611
F  0.1779  0.5029  0.9389
F  0.3221  0.0029  0.0611
F  0.6779  0.4971  0.5611
F  0.8221  0.9971  0.4389
F  0.6837  0.4885  0.8519
F  0.8163  0.9885  0.1481
F  0.1837  0.5115  0.6481
F  0.3163  0.0115  0.3519
F  0.3163  0.5115  0.1481
F  0.1837  0.0115  0.8519
F  0.8163  0.4885  0.3519
F  0.6837  0.9885  0.6481
F  0.4516  0.2199  0.2076
F  0.0484  0.7199  0.7924
F  0.9516  0.7801  0.2924
F  0.5484  0.2801  0.7076
F  0.5484  0.7801  0.7924
F  0.9516  0.2801  0.2076
F  0.0484  0.2199  0.7076
F  0.4516  0.7199  0.2924
F  0.6809  0.2141  0.2619
F  0.8191  0.7141  0.7381
F  0.1809  0.7859  0.2381
F  0.3191  0.2859  0.7619
F  0.3191  0.7859  0.7381
F  0.1809  0.2859  0.2619
F  0.8191  0.2141  0.7619
F  0.6809  0.7141  0.2381
F  0.5280  0.3480  0.3504
F  0.9720  0.8480  0.6496
F  0.0280  0.6520  0.1496
F  0.4720  0.1520  0.8504
F  0.4720  0.6520  0.6496
F  0.0280  0.1520  0.3504
F  0.9720  0.3480  0.8504
F  0.5280  0.8480  0.1496

Computed properties:
The value obtained for the formation energy is -2.76 eV/atom. Its crystal system is orthorhombic. The total magnetization comes out at 0.00 Bohr magnetons per cell. As for the theoretical density: 2.819 g/cm3. Its space group is Pbca, No. 61. Its total energy after the MP2020 corrections is -0.407 Ry per atom.

---

# Sr5P3O12F

A relaxed structure of Sr5P3O12F (PBE, the Materials Project).

Lattice parameters (Å, degrees): 9.8499 9.8499 7.3592 90.00 90.00 120.00
Fractional coordinates of all 42 atoms:
Sr  0.6667  0.3333  0.4996
Sr  0.3333  0.6667  0.9996
Sr  0.3333  0.6667  0.5004
Sr  0.6667  0.3333  0.0004
Sr  0.7581  0.0114  0.7500
Sr  0.7467  0.7581  0.2500
Sr  0.0114  0.2533  0.2500
Sr  0.9886  0.7467  0.7500
Sr  0.2533  0.2419  0.7500
Sr  0.2419  0.9886  0.2500
P  0.0312  0.3991  0.7500
P  0.6321  0.0312  0.2500
P  0.3991  0.3679  0.2500
P  0.6009  0.6321  0.7500
P  0.3679  0.9688  0.7500
P  0.9688  0.6009  0.2500
O  0.1187  0.5820  0.7500
O  0.5367  0.1187  0.2500
O  0.5820  0.4633  0.2500
O  0.4180  0.5367  0.7500
O  0.4633  0.8813  0.7500
O  0.8813  0.4180  0.2500
O  0.3442  0.2607  0.4211
O  0.0836  0.3442  0.9211
O  0.2607  0.9164  0.9211
O  0.7393  0.0836  0.4211
O  0.9164  0.6558  0.4211
O  0.6558  0.7393  0.9211
O  0.6558  0.7393  0.5789
O  0.9164  0.6558  0.0789
O  0.7393  0.0836  0.0789
O  0.2607  0.9164  0.5789
O  0.0836  0.3442  0.5789
O  0.3442  0.2607  0.0789
O  0.1498  0.6698  0.2500
O  0.4800  0.1498  0.7500
O  0.6698  0.5200  0.7500
O  0.3302  0.4800  0.2500
O  0.5200  0.8502  0.2500
O  0.8502  0.3302  0.7500
F  0.0000  0.0000  0.7500
F  0.0000  0.0000  0.2500

Computed properties:
The value obtained for the formation energy is -3.43 eV/atom. Its crystal system is hexagonal. The total magnetization comes out at 0.00 Bohr magnetons per cell. As for the theoretical density: 3.985 g/cm3. Its space group is P6_3/m, No. 176. Its total energy after the MP2020 corrections is -0.553 Ry per atom.

---

# Zn2P2O11F2

A relaxed structure of Zn2P2O11F2 (PBE, the Materials Project).

Lattice parameters (Å, degrees): 7.5788 8.3744 9.6775 85.18 81.66 88.08
Fractional coordinates of all 34 atoms:
Zn  0.0000  0.5000  0.0000
Zn  0.5000  0.0000  0.5000
Zn  0.4996  0.5061  0.7462
Zn  0.5004  0.4939  0.2538
P  0.6470  0.2987  0.9962
P  0.3530  0.7013  0.0038
P  0.2816  0.3470  0.5375
P  0.7184  0.6530  0.4625
O  0.5210  0.3278  0.8882
O  0.4790  0.6722  0.1118
O  0.8153  0.4016  0.9500
O  0.1847  0.5984  0.0500
O  0.5671  0.3033  0.1486
O  0.4329  0.6967  0.8514
O  0.3985  0.1938  0.5575
O  0.6015  0.8062  0.4425
O  0.2980  0.4221  0.3883
O  0.7020  0.5779  0.6117
O  0.2990  0.4598  0.6497
O  0.7010  0.5402  0.3503
O  0.9421  0.0281  0.7091
O  0.0579  0.9719  0.2909
O  0.7946  0.0722  0.6709
O  0.2054  0.9278  0.3291
O  0.9091  0.7499  0.8633
O  0.0909  0.2501  0.1367
O  0.7740  0.0423  0.5416
O  0.2260  0.9577  0.4584
O  0.1640  0.1802  0.0351
O  0.8360  0.8198  0.9649
F  0.7185  0.1201  0.9849
F  0.2815  0.8799  0.0151
F  0.0817  0.2902  0.5690
F  0.9183  0.7098  0.4310

Computed properties:
The value obtained for the formation energy is -1.40 eV/atom. Its crystal system is triclinic. The total magnetization comes out at 4.00 Bohr magnetons per cell. As for the theoretical density: 2.231 g/cm3. Its space group is P-1, No. 2. Its total energy after the MP2020 corrections is -0.412 Ry per atom.

---

# Y6Pb8OF32

A relaxed structure of Y6Pb8OF32 (PBE, the Materials Project).

Lattice parameters (Å, degrees): 9.3079 9.3079 9.3079 72.78 72.78 72.78
Fractional coordinates of all 47 atoms:
Y  0.5264  0.8400  0.3908
Y  0.4736  0.1600  0.6092
Y  0.6092  0.4736  0.1600
Y  0.8400  0.3908  0.5264
Y  0.1600  0.6092  0.4736
Y  0.3908  0.5264  0.8400
Pb  0.9006  0.0437  0.2901
Pb  0.2901  0.9006  0.0437
Pb  0.7099  0.0994  0.9563
Pb  0.0994  0.9563  0.7099
Pb  0.2626  0.2626  0.2626
Pb  0.9563  0.7099  0.0994
Pb  0.7374  0.7374  0.7374
Pb  0.0437  0.2901  0.9006
O  0.0000  0.0000  0.0000
F  0.8200  0.5491  0.9765
F  0.2618  0.0804  0.7856
F  0.3029  0.7868  0.4081
F  0.4901  0.3569  0.0461
F  0.0804  0.7856  0.2618
F  0.2680  0.3525  0.5485
F  0.4515  0.7320  0.6475
F  0.6475  0.4515  0.7320
F  0.3525  0.5485  0.2680
F  0.8595  0.8595  0.8595
F  0.1800  0.4509  0.0235
F  0.7868  0.4081  0.3029
F  0.3569  0.0461  0.4901
F  0.5491  0.9765  0.8200
F  0.2132  0.5919  0.6971
F  0.2144  0.7382  0.9196
F  0.9765  0.8200  0.5491
F  0.0461  0.4901  0.3569
F  0.7382  0.9196  0.2144
F  0.6431  0.9539  0.5099
F  0.4081  0.3029  0.7868
F  0.9539  0.5099  0.6431
F  0.5099  0.6431  0.9539
F  0.7320  0.6475  0.4515
F  0.5919  0.6971  0.2132
F  0.5485  0.2680  0.3525
F  0.4509  0.0235  0.1800
F  0.0235  0.1800  0.4509
F  0.7856  0.2618  0.0804
F  0.1405  0.1405  0.1405
F  0.6971  0.2132  0.5919
F  0.9196  0.2144  0.7382

Computed properties:
The value obtained for the formation energy is -3.52 eV/atom. Its crystal system is trigonal. The total magnetization comes out at 0.00 Bohr magnetons per cell. As for the theoretical density: 6.526 g/cm3. Its space group is R-3, No. 148. Its total energy after the MP2020 corrections is -0.469 Ry per atom.

---

- Which formula does entry 8 have?
  Y6Pb8OF32

---

Copy entry 3 word for word.
# SbPO2F6

A relaxed structure of SbPO2F6 (PBE, the Materials Project).

Lattice parameters (Å, degrees): 5.7003 7.5581 7.6163 88.35 76.16 83.43
Fractional coordinates of all 20 atoms:
Sb  0.5825  0.2306  0.7559
Sb  0.4175  0.7694  0.2441
P  0.2299  0.1921  0.1674
P  0.7701  0.8079  0.8326
O  0.5647  0.7364  0.9713
O  0.7827  0.0070  0.8251
O  0.4353  0.2636  0.0287
O  0.2173  0.9930  0.1749
F  0.3907  0.4393  0.7095
F  0.2420  0.2630  0.3516
F  0.0164  0.7220  0.8591
F  0.7364  0.1834  0.5100
F  0.2636  0.8166  0.4900
F  0.6093  0.5607  0.2905
F  0.8331  0.3580  0.7937
F  0.1669  0.6420  0.2063
F  0.3343  0.0820  0.7545
F  0.6657  0.9180  0.2455
F  0.7580  0.7370  0.6484
F  0.9836  0.2780  0.1409

Computed properties:
The value obtained for the formation energy is -2.68 eV/atom. Its crystal system is triclinic. The total magnetization comes out at 0.00 Bohr magnetons per cell. As for the theoretical density: 3.134 g/cm3. Its space group is P-1, No. 2. Its total energy after the MP2020 corrections is -0.424 Ry per atom.

---

- Which formula does entry 4 have?
  Sb2POF13

---

- What is the theoretical density in the first record?
  2.125 g/cm3